#a
A relaxed Li4Fe3Co3Te2O16 crystal. Source: Materials Project, functional GGA+U.

## Properties
SG	Cm (8)

The structure in POSCAR format:
```
Li4Fe3Co3Te2O16
1.0
1.269 -4.810 -3.339
3.535 0.519 -4.808
7.863 -1.837 5.465
O Co Fe Li Te
16 3 3 4 2
Direct
0.827 0.827 0.593
0.825 0.343 0.589
0.997 0.997 0.797
0.668 0.668 0.113
0.525 0.963 0.353
0.169 0.654 0.092
0.519 0.519 0.352
0.341 0.341 0.609
0.487 0.037 0.855
0.963 0.525 0.353
0.003 0.003 0.292
0.654 0.169 0.092
0.169 0.169 0.090
0.343 0.825 0.589
0.480 0.480 0.852
0.037 0.487 0.855
0.344 0.825 0.210
0.173 0.173 0.712
0.825 0.344 0.210
0.830 0.830 0.214
0.169 0.659 0.713
0.659 0.169 0.713
0.005 0.005 0.483
0.333 0.333 0.411
0.002 0.002 0.986
0.665 0.665 0.911
0.331 0.331 0.985
0.665 0.665 0.482
```

#b
A relaxed Li4Fe3Co3Te2O16 crystal. Source: Materials Project, functional GGA+U.

## Properties
SG	P1 (1)

The structure in POSCAR format:
```
Li4Fe3Co3Te2O16
1.0
5.964 0.000 0.000
-2.965 5.195 0.000
-0.020 -0.132 9.762
O Li Fe Te Co
16 4 3 2 3
Direct
0.485 0.523 0.145
0.964 0.487 0.647
0.165 0.334 0.912
0.341 0.678 0.391
0.825 0.167 0.411
0.527 0.490 0.645
0.480 0.961 0.148
0.826 0.651 0.406
0.524 0.040 0.649
0.038 0.526 0.146
0.991 0.005 0.706
0.652 0.821 0.909
0.342 0.165 0.412
0.166 0.821 0.909
0.996 0.993 0.203
0.678 0.334 0.886
0.003 0.009 0.516
0.336 0.669 0.590
0.002 0.003 0.014
0.669 0.333 0.088
0.828 0.660 0.786
0.168 0.826 0.287
0.659 0.828 0.287
0.328 0.661 0.015
0.665 0.330 0.517
0.171 0.343 0.289
0.827 0.170 0.788
0.343 0.171 0.788
```

Which of them is the most stable? Correct choice: #b.

#a
A relaxed Li4Ti3Fe2Co3O16 crystal. Source: Materials Project, functional GGA+U.

## Properties
SG	P1 (1)

The structure in POSCAR format:
```
Li4Ti3Fe2Co3O16
1.0
5.823 0.000 0.000
-2.836 5.115 0.000
-0.061 -0.079 9.583
Ti Fe O Li Co
3 2 16 4 3
Direct
0.833 0.660 0.785
0.341 0.166 0.784
0.174 0.831 0.284
0.339 0.663 0.011
0.664 0.329 0.509
0.672 0.829 0.898
0.993 0.004 0.691
0.166 0.837 0.898
0.963 0.489 0.657
0.170 0.327 0.900
0.042 0.521 0.162
0.822 0.148 0.392
0.498 0.533 0.168
0.516 0.481 0.666
0.324 0.159 0.399
0.511 0.036 0.661
0.487 0.963 0.165
0.669 0.333 0.896
0.986 0.988 0.191
0.831 0.676 0.396
0.343 0.675 0.396
0.991 0.006 0.005
0.995 0.005 0.502
0.673 0.333 0.111
0.336 0.666 0.604
0.661 0.830 0.288
0.831 0.171 0.789
0.170 0.339 0.285
```

#b
A relaxed Li4Ti3Fe2Co3O16 crystal. Source: Materials Project, functional GGA+U.

## Properties
SG	P1 (1)

The structure in POSCAR format:
```
Li4Ti3Fe2Co3O16
1.0
5.776 -0.045 0.012
-2.927 5.043 -0.005
0.019 0.002 9.531
Li O Co Ti Fe
4 16 3 3 2
Direct
0.979 0.990 0.995
0.340 0.668 0.890
0.672 0.336 0.396
0.989 0.992 0.498
0.155 0.322 0.603
0.164 0.840 0.601
0.527 0.036 0.835
0.992 0.995 0.311
0.991 0.996 0.809
0.837 0.675 0.104
0.837 0.162 0.103
0.485 0.520 0.339
0.964 0.478 0.826
0.520 0.483 0.838
0.328 0.665 0.101
0.486 0.966 0.338
0.036 0.518 0.335
0.673 0.336 0.605
0.677 0.845 0.610
0.327 0.163 0.099
0.831 0.168 0.712
0.830 0.660 0.713
0.656 0.828 0.213
0.175 0.341 0.215
0.346 0.173 0.718
0.175 0.834 0.216
0.675 0.340 0.990
0.333 0.671 0.494
```

Which of them is the most stable? Correct choice: #b.

#a
A relaxed Li4V2Fe3Co3O16 crystal. Source: Materials Project, functional GGA+U.

## Properties
SG	Cm (8)

The structure in POSCAR format:
```
Li4V2Fe3Co3O16
1.0
5.771 0.012 -0.065
-2.875 4.978 0.000
-0.104 -0.059 9.390
O Fe V Co Li
16 3 2 3 4
Direct
0.180 0.348 0.593
0.180 0.832 0.593
0.009 0.004 0.300
0.343 0.172 0.102
0.831 0.655 0.091
0.325 0.663 0.107
0.051 0.525 0.332
0.468 0.960 0.345
0.468 0.508 0.345
0.660 0.330 0.602
0.008 0.004 0.797
0.509 0.042 0.845
0.509 0.467 0.845
0.655 0.828 0.584
0.831 0.176 0.091
0.960 0.480 0.853
0.645 0.823 0.223
0.825 0.180 0.720
0.825 0.645 0.720
0.332 0.666 0.500
0.664 0.332 0.003
0.177 0.345 0.213
0.177 0.832 0.213
0.349 0.175 0.714
0.667 0.334 0.393
0.329 0.665 0.899
0.010 0.005 0.993
0.012 0.006 0.492
```

#b
A relaxed Li4V2Fe3Co3O16 crystal. Source: Materials Project, functional GGA+U.

## Properties
SG	P1 (1)

The structure in POSCAR format:
```
Li4V2Fe3Co3O16
1.0
-5.826 0.000 0.000
2.903 5.079 0.000
-0.010 -0.041 -9.386
Fe V Li O Co
3 2 4 16 3
Direct
0.172 0.344 0.780
0.830 0.174 0.281
0.344 0.172 0.282
0.666 0.336 0.003
0.335 0.663 0.505
0.667 0.335 0.603
0.337 0.674 0.099
0.995 0.987 0.006
0.992 0.982 0.508
0.840 0.193 0.917
0.533 0.493 0.156
0.651 0.821 0.409
0.989 0.988 0.700
0.167 0.344 0.414
0.471 0.512 0.646
0.522 0.045 0.148
0.960 0.495 0.157
0.345 0.170 0.909
0.994 0.987 0.197
0.829 0.657 0.903
0.477 0.955 0.663
0.346 0.679 0.889
0.668 0.337 0.395
0.169 0.820 0.409
0.042 0.537 0.659
0.827 0.652 0.286
0.173 0.828 0.786
0.657 0.821 0.785
```

Which of them is the most stable? Correct choice: #a.